(P)
This record from the Materials Project database describes a relaxed structure of Mo9Se11. The functional is PBE.

Unit cell a=9.5467 b=9.5467 c=12.2910 alpha=90.00 beta=90.00 gamma=120.00
Fractional positions:
1 Mo 0.4978 0.3193 0.2500
2 Se 0.6666 0.7071 0.9217
3 Mo 0.3193 0.8215 0.7500
4 Mo 0.5169 0.1606 0.0612
5 Mo 0.4831 0.8394 0.5612
6 Mo 0.6437 0.4831 0.0612
7 Mo 0.6437 0.4831 0.4388
8 Se 0.3638 0.3700 0.7500
9 Se 0.0405 0.3334 0.9217
10 Se 0.3333 0.6667 0.3978
11 Mo 0.1606 0.6437 0.9388
12 Mo 0.3563 0.5169 0.5612
13 Se 0.6300 0.9938 0.7500
14 Se 0.9938 0.3638 0.2500
15 Mo 0.6807 0.1785 0.2500
16 Mo 0.5022 0.6807 0.7500
17 Se 0.2929 0.9595 0.5783
18 Se 0.0405 0.3334 0.5783
19 Se 0.6667 0.3333 0.6022
20 Se 0.9595 0.6666 0.0783
21 Se 0.9595 0.6666 0.4217
22 Mo 0.3563 0.5169 0.9388
23 Se 0.7071 0.0405 0.4217
24 Se 0.0062 0.6362 0.7500
25 Se 0.7071 0.0405 0.0783
26 Mo 0.8215 0.5022 0.2500
27 Mo 0.4831 0.8394 0.9388
28 Se 0.6667 0.3333 0.8978
29 Se 0.3334 0.2929 0.4217
30 Se 0.6362 0.6300 0.2500
31 Mo 0.1785 0.4978 0.7500
32 Se 0.3333 0.6667 0.1022
33 Mo 0.1606 0.6437 0.5612
34 Se 0.6666 0.7071 0.5783
35 Se 0.3334 0.2929 0.0783
36 Mo 0.5169 0.1606 0.4388
37 Mo 0.8394 0.3563 0.0612
38 Se 0.3700 0.0062 0.2500
39 Se 0.2929 0.9595 0.9217
40 Mo 0.8394 0.3563 0.4388

As for the space-group type: P6_3/m.

***

(Q)
This record from the Materials Project database describes a relaxed structure of Mo9Se11. The functional is PBE.

Unit cell a=9.0240 b=9.0240 c=11.1789 alpha=90.00 beta=90.00 gamma=95.79
Fractional positions:
1 Mo 0.9007 0.4816 0.6298
2 Se 0.9441 0.7081 0.0182
3 Se 0.0559 0.2919 0.5182
4 Se 0.7081 0.9441 0.9818
5 Se 0.7205 0.6339 0.7500
6 Mo 0.4816 0.9007 0.1298
7 Se 0.6339 0.7205 0.2500
8 Mo 0.8220 0.1780 0.6285
9 Se 0.3456 0.6544 0.0176
10 Se 0.6544 0.3456 0.5176
11 Se 0.9441 0.7081 0.4818
12 Mo 0.8220 0.1780 0.8715
13 Se 0.0121 0.9879 0.2500
14 Mo 0.6469 0.3531 0.7500
15 Mo 0.1780 0.8220 0.1285
16 Se 0.9879 0.0121 0.7500
17 Se 0.2919 0.0559 0.4818
18 Se 0.2919 0.0559 0.0182
19 Mo 0.3070 0.0728 0.2500
20 Mo 0.4816 0.9007 0.3702
21 Mo 0.0993 0.5184 0.3702
22 Se 0.8716 0.4139 0.2500
23 Mo 0.5184 0.0993 0.8702
24 Mo 0.5184 0.0993 0.6298
25 Se 0.5861 0.1284 0.2500
26 Se 0.0559 0.2919 0.9818
27 Mo 0.6930 0.9272 0.7500
28 Mo 0.1780 0.8220 0.3715
29 Se 0.1284 0.5861 0.7500
30 Se 0.6544 0.3456 0.9824
31 Se 0.3456 0.6544 0.4824
32 Mo 0.9007 0.4816 0.8702
33 Mo 0.0728 0.3070 0.7500
34 Se 0.7081 0.9441 0.5182
35 Se 0.3661 0.2795 0.7500
36 Mo 0.9272 0.6930 0.2500
37 Se 0.2795 0.3661 0.2500
38 Se 0.4139 0.8716 0.7500
39 Mo 0.0993 0.5184 0.1298
40 Mo 0.3531 0.6469 0.2500

As for the space-group type: Cmcm.

***

Stability summary - winner: (P); margin: 0.016 eV/atom.

***

(P)
This record from the Materials Project database describes a relaxed structure of Mo3Se4. The functional is PBE.

Unit cell a=10.5462 b=4.7213 c=8.5295 alpha=66.42 beta=109.90 gamma=123.90
Fractional positions:
1 Se 0.3795 0.1548 0.9243
2 Se 0.8111 0.7469 0.7334
3 Mo 0.9405 0.2298 0.1079
4 Mo 0.5316 0.5229 0.6480
5 Se 0.4866 0.9462 0.6777
6 Se 0.6205 0.8452 0.0757
7 Se 0.8844 0.4131 0.3112
8 Se 0.1156 0.5869 0.6888
9 Se 0.1889 0.2531 0.2666
10 Mo 0.2341 0.3661 0.9769
11 Mo 0.7659 0.6339 0.0231
12 Mo 0.0595 0.7702 0.8921
13 Mo 0.4684 0.4771 0.3520
14 Se 0.5134 0.0538 0.3223

As for the space-group type: P-1.

***

(Q)
This record from the Materials Project database describes a relaxed structure of Mo3Se4. The functional is PBE.

Unit cell a=6.7534 b=6.7534 c=6.7534 alpha=91.64 beta=91.64 gamma=91.64
Fractional positions:
1 Mo 0.5462 0.4141 0.2257
2 Se 0.7836 0.7836 0.7836
3 Se 0.3814 0.7430 0.1282
4 Se 0.1282 0.3814 0.7430
5 Mo 0.4141 0.2257 0.5462
6 Mo 0.2257 0.5462 0.4141
7 Se 0.7430 0.1282 0.3814
8 Mo 0.4538 0.5859 0.7743
9 Mo 0.5859 0.7743 0.4538
10 Mo 0.7743 0.4538 0.5859
11 Se 0.6186 0.2570 0.8718
12 Se 0.2164 0.2164 0.2164
13 Se 0.8718 0.6186 0.2570
14 Se 0.2570 0.8718 0.6186

As for the space-group type: R-3.

***

Stability summary - winner: (Q); margin: 0.718 eV/atom.

***

(P)
This record from the Materials Project database describes a relaxed structure of Ta4MoSe10. The functional is PBE.

Unit cell a=9.9198 b=9.9198 c=10.5120 alpha=85.41 beta=85.41 gamma=19.97
Fractional positions:
1 Se 0.9330 0.9330 0.6254
2 Se 0.3960 0.3960 0.0480
3 Se 0.3309 0.3309 0.4277
4 Ta 0.5257 0.5257 0.0577
5 Ta 0.7304 0.7304 0.4670
6 Ta 0.1331 0.1331 0.2718
7 Ta 0.3356 0.3356 0.6777
8 Se 0.8011 0.8011 0.8559
9 Mo 0.9322 0.9322 0.8710
10 Se 0.5291 0.5291 0.8152
11 Se 0.2023 0.2023 0.6519
12 Se 0.0005 0.0005 0.2453
13 Se 0.7318 0.7318 0.2188
14 Se 0.5979 0.5979 0.4521
15 Se 0.1277 0.1277 0.0230

As for the space-group type: Cm.

***

(Q)
This record from the Materials Project database describes a relaxed structure of Ta4MoSe10. The functional is PBE.

Unit cell a=3.4437 b=3.4437 c=33.9796 alpha=87.10 beta=90.00 gamma=60.00
Fractional positions:
1 Se 0.6506 0.6988 0.9518
2 Se 0.8832 0.2336 0.6497
3 Se 0.0500 0.9001 0.1499
4 Ta 0.2000 0.6001 0.5999
5 Mo 0.0000 0.0000 0.0000
6 Se 0.8500 0.2999 0.5501
7 Ta 0.6000 0.7999 0.8001
8 Ta 0.3999 0.2003 0.1996
9 Se 0.4832 0.0336 0.4496
10 Se 0.0831 0.8338 0.2494
11 Se 0.2501 0.4998 0.7503
12 Se 0.4500 0.1000 0.3501
13 Se 0.2833 0.4334 0.8498
14 Se 0.6827 0.6347 0.0480
15 Ta 0.8000 0.4001 0.3999

As for the space-group type: R3m.

***

Stability summary - winner: (P); margin: 0.016 eV/atom.

***

(P)
This record from the Materials Project database describes a relaxed structure of TeMoWSe3. The functional is PBE.

Unit cell a=3.3790 b=3.3790 c=38.4397 alpha=90.00 beta=90.00 gamma=120.00
Fractional positions:
1 Te 0.3333 0.6667 0.1428
2 Mo 0.0000 0.0000 0.0939
3 Se 0.0000 0.0000 0.3250
4 Se 0.0000 0.0000 0.2386
5 W 0.3333 0.6667 0.6576
6 W 0.3333 0.6667 0.2818
7 Te 0.3333 0.6667 0.0450
8 Se 0.0000 0.0000 0.7007
9 Se 0.0000 0.0000 0.6143
10 Mo 0.0000 0.0000 0.4697
11 Se 0.3333 0.6667 0.4266
12 Se 0.3333 0.6667 0.5127

As for the space-group type: P3m1.

***

(Q)
This record from the Materials Project database describes a relaxed structure of TeMoWSe3. The functional is PBE.

Unit cell a=3.3832 b=3.3832 c=38.4990 alpha=90.00 beta=90.00 gamma=120.00
Fractional positions:
1 Te 0.3333 0.6667 0.4206
2 Mo 0.3333 0.6667 0.2818
3 W 0.3333 0.6667 0.6576
4 Mo 0.0000 0.0000 0.0939
5 Te 0.3333 0.6667 0.5187
6 Se 0.0000 0.0000 0.6144
7 Se 0.3333 0.6667 0.1369
8 Se 0.0000 0.0000 0.2388
9 W 0.0000 0.0000 0.4696
10 Se 0.0000 0.0000 0.7007
11 Se 0.3333 0.6667 0.0510
12 Se 0.0000 0.0000 0.3248

As for the space-group type: P3m1.

***

Stability summary - winner: (P); margin: 0.020 eV/atom.

***

(P)
This record from the Materials Project database describes a relaxed structure of Te2MoWSe2. The functional is PBE.

Unit cell a=3.4430 b=3.4430 c=39.1154 alpha=90.00 beta=90.00 gamma=120.00
Fractional positions:
1 W 0.3333 0.6667 0.6575
2 Se 0.3333 0.6667 0.4279
3 Te 0.0000 0.0000 0.6099
4 Se 0.3333 0.6667 0.0521
5 Mo 0.0000 0.0000 0.0939
6 Se 0.3333 0.6667 0.5115
7 Te 0.0000 0.0000 0.7052
8 Te 0.0000 0.0000 0.3294
9 Te 0.0000 0.0000 0.2341
10 Mo 0.0000 0.0000 0.4697
11 Se 0.3333 0.6667 0.1357
12 W 0.3333 0.6667 0.2818

As for the space-group type: P3m1.

***

(Q)
This record from the Materials Project database describes a relaxed structure of Te2MoWSe2. The functional is PBE.

Unit cell a=3.4384 b=3.4384 c=39.1414 alpha=90.00 beta=90.00 gamma=120.00
Fractional positions:
1 Te 0.3333 0.6667 0.5173
2 Mo 0.0000 0.0000 0.0939
3 Te 0.0000 0.0000 0.6102
4 Mo 0.3333 0.6667 0.6576
5 Se 0.0000 0.0000 0.3237
6 Se 0.3333 0.6667 0.0521
7 Se 0.3333 0.6667 0.1357
8 Se 0.0000 0.0000 0.2399
9 W 0.0000 0.0000 0.4697
10 Te 0.0000 0.0000 0.7049
11 Te 0.3333 0.6667 0.4219
12 W 0.3333 0.6667 0.2818

As for the space-group type: P3m1.

***

(R)
This record from the Materials Project database describes a relaxed structure of Te2MoWSe2. The functional is PBE.

Unit cell a=3.4357 b=3.4357 c=39.1477 alpha=90.00 beta=90.00 gamma=120.00
Fractional positions:
1 Mo 0.3333 0.6667 0.0940
2 Te 0.6667 0.3333 0.0465
3 Se 0.6667 0.3333 0.6762
4 Te 0.3333 0.6667 0.9535
5 Se 0.3333 0.6667 0.3238
6 Se 0.3333 0.6667 0.2398
7 Te 0.3333 0.6667 0.8586
8 W 0.3333 0.6667 0.7182
9 Te 0.6667 0.3333 0.1414
10 Mo 0.6667 0.3333 0.9060
11 Se 0.6667 0.3333 0.7602
12 W 0.6667 0.3333 0.2818

As for the space-group type: P-3m1.

***

Stability summary - winner: (R); margin: 0.019 eV/atom.

***

(P)
This record from the Materials Project database describes a relaxed structure of Te2MoWSe2. The functional is PBE.

Unit cell a=3.4375 b=3.4375 c=39.1410 alpha=90.00 beta=90.00 gamma=120.00
Fractional positions:
1 Se 0.3333 0.6667 0.0521
2 Se 0.0000 0.0000 0.2399
3 Se 0.3333 0.6667 0.1357
4 Mo 0.0000 0.0000 0.0939
5 Te 0.0000 0.0000 0.7052
6 Te 0.3333 0.6667 0.5170
7 Te 0.3333 0.6667 0.4223
8 W 0.3333 0.6667 0.2818
9 W 0.3333 0.6667 0.6576
10 Mo 0.0000 0.0000 0.4696
11 Te 0.0000 0.0000 0.6099
12 Se 0.0000 0.0000 0.3237

As for the space-group type: P3m1.

***

(Q)
This record from the Materials Project database describes a relaxed structure of Te2MoWSe2. The functional is PBE.

Unit cell a=3.4428 b=3.4428 c=39.1233 alpha=90.00 beta=90.00 gamma=120.00
Fractional positions:
1 Te 0.3333 0.6667 0.3294
2 Te 0.3333 0.6667 0.2342
3 Mo 0.3333 0.6667 0.0939
4 Se 0.3333 0.6667 0.8643
5 Se 0.3333 0.6667 0.9479
6 Se 0.6667 0.3333 0.0521
7 Se 0.6667 0.3333 0.1357
8 W 0.3333 0.6667 0.7182
9 Te 0.6667 0.3333 0.6706
10 W 0.6667 0.3333 0.2818
11 Te 0.6667 0.3333 0.7658
12 Mo 0.6667 0.3333 0.9061

As for the space-group type: P-3m1.

***

Stability summary - winner: (P); margin: 0.020 eV/atom.

***

(P)
This record from the Materials Project database describes a relaxed structure of Si3Mo5. The functional is PBE.

Unit cell a=7.2839 b=7.2839 c=7.2839 alpha=96.59 beta=96.59 gamma=140.39
Fractional positions:
1 Mo 0.0765 0.2239 0.3005
2 Mo 0.7239 0.5765 0.3005
3 Mo 0.9235 0.7761 0.6995
4 Si 0.6674 0.8326 0.5000
5 Mo 0.2239 0.9235 0.1474
6 Si 0.3326 0.1674 0.5000
7 Mo 0.7761 0.0765 0.8526
8 Mo 0.4235 0.7239 0.1474
9 Si 0.1674 0.6674 0.8347
10 Si 0.7500 0.7500 0.0000
11 Mo 0.2761 0.4235 0.6995
12 Mo 0.5765 0.2761 0.8526
13 Si 0.8326 0.3326 0.1653
14 Mo 0.2500 0.7500 0.5000
15 Mo 0.7500 0.2500 0.5000
16 Si 0.2500 0.2500 0.0000

As for the space-group type: I4/mcm.

***

(Q)
This record from the Materials Project database describes a relaxed structure of Si3Mo5. The functional is PBE.

Unit cell a=5.0677 b=7.3197 c=7.3200 alpha=120.00 beta=90.00 gamma=90.00
Fractional positions:
1 Mo 0.7500 0.2399 0.0000
2 Mo 0.7500 0.7601 0.7601
3 Si 0.2500 0.3928 0.0000
4 Mo 0.2500 0.7601 0.0000
5 Mo 0.2500 0.0000 0.7601
6 Mo 0.5000 0.3333 0.6667
7 Mo 0.0000 0.3334 0.6667
8 Si 0.7500 0.6072 0.0000
9 Si 0.7500 0.3928 0.3929
10 Si 0.7500 0.9999 0.6071
11 Mo 0.5000 0.6666 0.3333
12 Mo 0.0000 0.6667 0.3333
13 Mo 0.2500 0.2399 0.2399
14 Si 0.2500 0.6072 0.6071
15 Mo 0.7500 0.0000 0.2399
16 Si 0.2500 0.0001 0.3929

As for the space-group type: P6_3/mcm.

***

Stability summary - winner: (P); margin: 0.095 eV/atom.

***

(P)
This record from the Materials Project database describes a relaxed structure of SnMo3. The functional is PBE.

Unit cell a=2.8895 b=2.8895 c=8.8425 alpha=90.00 beta=90.00 gamma=109.73
Fractional positions:
1 Mo 0.5000 0.5000 0.2627
2 Sn 0.0000 0.0000 0.0000
3 Mo 0.5000 0.5000 0.7373
4 Mo 0.0000 0.0000 0.5000

As for the space-group type: Cmmm.

***

(Q)
This record from the Materials Project database describes a relaxed structure of SnMo3. The functional is PBE.

Unit cell a=5.1277 b=5.1277 c=5.1277 alpha=90.00 beta=90.00 gamma=90.00
Fractional positions:
1 Mo 0.0000 0.5000 0.7500
2 Mo 0.7500 0.0000 0.5000
3 Sn 0.5000 0.5000 0.5000
4 Mo 0.5000 0.2500 0.0000
5 Mo 0.0000 0.5000 0.2500
6 Mo 0.5000 0.7500 0.0000
7 Sn 0.0000 0.0000 0.0000
8 Mo 0.2500 0.0000 0.5000

As for the space-group type: Pm-3n.

***

Stability summary - winner: (Q); margin: 0.239 eV/atom.